[1]
First-principles (PBE) data for Er15C19 after structural relaxation, as listed in the Materials Project.

ΔH_f (0 K)	-341.4	meV per atom
total energy	-510.94	eV per cell
SG	P4/mnc
M_tot	0.10	μB/f.u.

abc: 8.0740 8.0740 15.3342
angles: 90.00 90.00 90.00
Atoms (fractional coordinates):
Er1 0.0982 0.7153 0.6498
Er2 0.9018 0.2847 0.6498
Er3 0.7847 0.4018 0.1498
Er4 0.2847 0.0982 0.3502
Er5 0.7153 0.9018 0.3502
Er6 0.4018 0.2153 0.8502
Er7 0.5982 0.7847 0.8502
Er8 0.2153 0.5982 0.1498
Er9 0.2847 0.0982 0.6498
Er10 0.7153 0.9018 0.6498
Er11 0.4018 0.2153 0.1498
Er12 0.9018 0.2847 0.3502
Er13 0.0982 0.7153 0.3502
Er14 0.2153 0.5982 0.8502
Er15 0.7847 0.4018 0.8502
Er16 0.5982 0.7847 0.1498
Er17 0.2029 0.4066 0.5000
Er18 0.7971 0.5934 0.5000
Er19 0.0934 0.2971 0.0000
Er20 0.5934 0.2029 0.5000
Er21 0.4066 0.7971 0.5000
Er22 0.2971 0.9066 0.0000
Er23 0.7029 0.0934 0.0000
Er24 0.9066 0.7029 0.0000
Er25 0.0000 0.0000 0.8308
Er26 0.0000 0.0000 0.1692
Er27 0.5000 0.5000 0.6692
Er28 0.5000 0.5000 0.3308
Er29 0.0000 0.0000 0.5000
Er30 0.5000 0.5000 0.0000
C1 0.4039 0.8031 0.6715
C2 0.5961 0.1969 0.6715
C3 0.6969 0.0961 0.1715
C4 0.1969 0.4039 0.3285
C5 0.8031 0.5961 0.3285
C6 0.0961 0.3031 0.8285
C7 0.9039 0.6969 0.8285
C8 0.3031 0.9039 0.1715
C9 0.1514 0.3486 0.7500
C10 0.8486 0.6514 0.7500
C11 0.1514 0.3486 0.2500
C12 0.6514 0.1514 0.2500
C13 0.3486 0.8486 0.2500
C14 0.3486 0.8486 0.7500
C15 0.6514 0.1514 0.7500
C16 0.8486 0.6514 0.2500
C17 0.6024 0.8025 0.0000
C18 0.1969 0.4039 0.6715
C19 0.0961 0.3031 0.1715
C20 0.5961 0.1969 0.3285
C21 0.4039 0.8031 0.3285
C22 0.3031 0.9039 0.8285
C23 0.6969 0.0961 0.8285
C24 0.9039 0.6969 0.1715
C25 0.1024 0.6975 0.5000
C26 0.8976 0.3025 0.5000
C27 0.8025 0.3976 0.0000
C28 0.3025 0.1024 0.5000
C29 0.6975 0.8976 0.5000
C30 0.3976 0.1975 0.0000
C31 0.5000 0.5000 0.5000
C32 0.0000 0.0000 0.0000
C33 0.5000 0.5000 0.1631
C34 0.5000 0.5000 0.8369
C35 0.0000 0.0000 0.3369
C36 0.0000 0.0000 0.6631
C37 0.1975 0.6024 0.0000
C38 0.8031 0.5961 0.6715

***

[2]
First-principles (PBE) data for Er4C7 after structural relaxation, as listed in the Materials Project.

ΔH_f (0 K)	-300.9	meV per atom
total energy	-172.36	eV per cell
SG	P2_1/c

abc: 13.6655 3.6774 6.4006
angles: 75.06 90.00 90.00
Atoms (fractional coordinates):
Er1 0.3382 0.9466 0.6602
Er2 0.6618 0.0534 0.3398
Er3 0.8382 0.0534 0.8398
Er4 0.1618 0.9466 0.1602
Er5 0.0548 0.6345 0.7392
Er6 0.9452 0.3655 0.2608
Er7 0.5548 0.3655 0.7608
Er8 0.4452 0.6345 0.2392
C1 0.8949 0.7375 0.5469
C2 0.1051 0.2625 0.4531
C3 0.3949 0.2625 0.9531
C4 0.6051 0.7375 0.0469
C5 0.2149 0.5373 0.9240
C6 0.7851 0.4627 0.0760
C7 0.7149 0.4627 0.5760
C8 0.2851 0.5373 0.4240
C9 0.8026 0.6205 0.5453
C10 0.1974 0.3795 0.4547
C11 0.3026 0.3795 0.9547
C12 0.6974 0.6205 0.0453
C13 0.5000 0.0000 0.5000
C14 0.0000 0.0000 0.0000